SrSbSe3 | the Materials Project database | PBE-GGA | optimized geometry; symmetry = No. 19; magnetization = 0.0 μB per formula unit; VASP energy = -21.111 eV/f.u.
1.0
-1.284 -1.685 3.638
15.087 -2.551 4.143
1.161 30.375 14.480
Se Sb Sr
48 16 16
direct
0.758 0.471 0.508 Se
0.250 0.140 0.742 Se
0.737 0.228 0.464 Se
0.742 0.103 0.069 Se
0.774 0.832 0.450 Se
0.293 0.860 0.773 Se
0.244 0.043 0.864 Se
0.726 0.168 0.950 Se
0.258 0.603 0.431 Se
0.250 0.860 0.242 Se
0.256 0.957 0.364 Se
0.274 0.668 0.550 Se
0.758 0.897 0.569 Se
0.746 0.165 0.352 Se
0.745 0.605 0.884 Se
0.225 0.256 0.165 Se
0.793 0.640 0.227 Se
0.744 0.457 0.136 Se
0.242 0.397 0.931 Se
0.207 0.140 0.273 Se
0.370 0.194 0.408 Se
0.255 0.105 0.616 Se
0.725 0.244 0.835 Se
0.246 0.335 0.648 Se
0.258 0.029 0.492 Se
0.870 0.306 0.592 Se
0.226 0.332 0.050 Se
0.263 0.728 0.036 Se
0.275 0.744 0.665 Se
0.130 0.806 0.908 Se
0.763 0.772 0.964 Se
0.254 0.665 0.148 Se
0.750 0.360 0.258 Se
0.755 0.973 0.687 Se
0.755 0.395 0.384 Se
0.745 0.027 0.187 Se
0.245 0.895 0.116 Se
0.707 0.360 0.727 Se
0.242 0.971 0.992 Se
0.775 0.756 0.335 Se
0.630 0.694 0.092 Se
0.245 0.473 0.813 Se
0.237 0.272 0.536 Se
0.756 0.543 0.636 Se
0.742 0.529 0.008 Se
0.754 0.835 0.852 Se
0.255 0.527 0.313 Se
0.750 0.640 0.758 Se
0.244 0.947 0.636 Sb
0.228 0.800 0.391 Sb
0.744 0.553 0.364 Sb
0.239 0.704 0.275 Sb
0.728 0.700 0.609 Sb
0.770 0.371 0.985 Sb
0.230 0.871 0.515 Sb
0.761 0.204 0.225 Sb
0.261 0.296 0.775 Sb
0.739 0.796 0.725 Sb
0.256 0.053 0.136 Sb
0.272 0.200 0.891 Sb
0.270 0.129 0.015 Sb
0.772 0.300 0.109 Sb
0.730 0.629 0.485 Sb
0.756 0.447 0.864 Sb
0.754 0.116 0.548 Sr
0.246 0.616 0.952 Sr
0.270 0.469 0.576 Sr
0.754 0.957 0.295 Sr
0.250 0.314 0.325 Sr
0.746 0.043 0.795 Sr
0.230 0.531 0.076 Sr
0.730 0.969 0.924 Sr
0.254 0.384 0.452 Sr
0.770 0.031 0.424 Sr
0.750 0.814 0.175 Sr
0.250 0.686 0.825 Sr
0.750 0.186 0.675 Sr
0.746 0.884 0.048 Sr
0.254 0.543 0.705 Sr
0.246 0.457 0.205 Sr


Sb2TeSe2 | the Materials Project database | PBE-GGA | optimized geometry; symmetry = No. 160; largest piezoelectric modulus = 1.16 C/m²; energy relative to the lowest polymorph listed for this composition = 0.000 eV/atom; VASP energy = -19.518 eV/f.u.
1.0
-1.788 1.649 -10.193
-0.197 -2.191 -10.246
-4.236 -1.626 -9.446
Te Sb Se
1 2 2
direct
0.211 0.211 0.211 Te
0.602 0.602 0.602 Sb
0.389 0.389 0.389 Sb
0.772 0.772 0.772 Se
0.996 0.996 0.996 Se


Sb4Te3Se3 | the Materials Project database | PBE-GGA | optimized geometry; symmetry = No. 8; magnetization = 0.0 μB per formula unit; VASP energy = -38.399 eV/f.u.
1.0
-4.102 -6.576 6.898
-0.016 -6.724 7.902
-1.117 4.907 5.268
Se Te Sb
3 3 4
direct
0.000 0.000 0.000 Se
0.497 0.497 0.502 Se
0.334 0.334 0.891 Se
0.177 0.177 0.610 Te
0.676 0.676 0.106 Te
0.821 0.821 0.390 Te
0.090 0.090 0.304 Sb
0.909 0.909 0.701 Sb
0.408 0.408 0.192 Sb
0.589 0.589 0.803 Sb


Sb2TeSe2 | the Materials Project database | PBE-GGA | optimized geometry; symmetry = No. 166; magnetization = 0.0 μB per formula unit; energy relative to the lowest polymorph listed for this composition = 0.037 eV/atom; VASP energy = -19.335 eV/f.u.
1.0
-8.716 2.148 -5.480
-10.294 0.236 -2.141
-9.394 4.293 -1.982
Sb Se Te
2 2 1
direct
0.599 0.599 0.599 Sb
0.401 0.401 0.401 Sb
0.783 0.783 0.783 Se
0.217 0.217 0.217 Se
0.000 0.000 0.000 Te


ThSbSe | the Materials Project database | PBE-GGA | optimized geometry; symmetry = No. 129; VASP energy = -18.817 eV/f.u.
1.0
-3.050 0.925 -2.872
-2.875 -2.131 2.367
-1.879 7.397 4.377
Sb Th Se
2 2 2
direct
0.000 0.000 0.000 Sb
0.500 0.500 0.000 Sb
0.500 0.000 0.287 Th
0.000 0.500 0.713 Th
0.500 0.000 0.634 Se
0.000 0.500 0.366 Se


Th2SbSe2 | the Materials Project database | PBE-GGA | optimized geometry; symmetry = No. 123; magnetization = 0.0 μB per formula unit; VASP energy = -24.814 eV/f.u.
1.0
3.320 0.000 0.000
0.000 3.320 0.000
0.000 0.000 16.620
Se Th Sb
2 2 1
direct
0.500 0.500 0.642 Se
0.500 0.500 0.358 Se
0.500 0.500 0.193 Th
0.500 0.500 0.807 Th
0.500 0.500 0.000 Sb


TlSbSe2 | the Materials Project database | PBE-GGA | optimized geometry; symmetry = No. 25; magnetization = 0.0 μB per formula unit; VASP energy = -13.499 eV/f.u.
1.0
-2.431 0.777 3.222
-2.129 -3.996 -0.643
3.932 -2.676 3.613
Se Sb Tl
2 1 1
direct
0.500 0.000 0.500 Se
0.546 0.000 0.000 Se
0.927 0.500 0.000 Sb
0.027 0.500 0.500 Tl


TlSbSe2 | the Materials Project database | PBE-GGA | optimized geometry; symmetry = No. 11; VASP energy = -14.806 eV/f.u.
1.0
4.152 0.000 0.000
0.000 9.254 0.000
0.000 4.256 12.310
Se Tl Sb
8 4 4
direct
0.250 0.211 0.392 Se
0.750 0.390 0.883 Se
0.750 0.348 0.604 Se
0.250 0.060 0.104 Se
0.750 0.940 0.896 Se
0.750 0.789 0.608 Se
0.250 0.610 0.117 Se
0.250 0.652 0.396 Se
0.250 0.057 0.641 Tl
0.250 0.684 0.862 Tl
0.750 0.316 0.138 Tl
0.750 0.943 0.359 Tl
0.250 0.184 0.892 Sb
0.750 0.816 0.108 Sb
0.750 0.419 0.392 Sb
0.250 0.581 0.608 Sb


TlSbSe2 | the Materials Project database | PBE-GGA | optimized geometry; symmetry = No. 6; magnetization = 0.0 μB per formula unit; VASP energy = -13.614 eV/f.u.
1.0
6.005 0.000 0.000
0.000 4.354 0.000
0.000 0.148 4.358
Tl Se Sb
1 2 1
direct
0.000 0.010 0.023 Tl
0.500 0.521 0.541 Se
0.000 0.489 0.486 Se
0.500 0.980 0.951 Sb


TlSbSe2 | the Materials Project database | PBE-GGA | optimized geometry; symmetry = No. 38; magnetization = 0.0 μB per formula unit; VASP energy = -14.666 eV/f.u.
1.0
2.079 -7.245 0.000
2.079 7.245 0.000
0.000 0.000 4.167
Se Tl Sb
2 1 1
direct
0.674 0.326 0.500 Se
0.381 0.619 0.000 Se
0.096 0.904 0.000 Tl
0.849 0.151 0.500 Sb


TlSbSe2 | the Materials Project database | PBE-GGA | optimized geometry; symmetry = No. 65; magnetization = 0.5 μB per formula unit; VASP energy = -12.012 eV/f.u.
1.0
2.153 -7.645 0.000
2.153 7.645 0.000
0.000 0.000 4.273
Se Sb Tl
2 1 1
direct
0.713 0.287 0.500 Se
0.287 0.713 0.500 Se
0.000 0.000 0.000 Sb
0.500 0.500 0.500 Tl


USbSe | the Materials Project database | PBE-GGA | optimized geometry; symmetry = No. 129; VASP energy = -21.327 eV/f.u.
1.0
4.171 0.000 0.000
0.000 4.171 0.000
0.000 0.000 8.652
U Sb Se
2 2 2
direct
0.500 0.000 0.295 U
0.000 0.500 0.705 U
0.500 0.500 0.000 Sb
0.000 0.000 0.000 Sb
0.500 0.000 0.635 Se
0.000 0.500 0.365 Se


U2SbSe2 | the Materials Project database | PBE-GGA | optimized geometry; symmetry = No. 123; magnetization = 4.0 μB per formula unit; VASP energy = -31.760 eV/f.u.
1.0
2.851 0.000 0.000
0.000 2.851 0.000
0.000 0.000 16.976
U Sb Se
2 1 2
direct
0.500 0.500 0.809 U
0.500 0.500 0.191 U
0.500 0.500 0.000 Sb
0.500 0.500 0.643 Se
0.500 0.500 0.357 Se


Zr5Sb3Se | the Materials Project database | PBE-GGA | optimized geometry; symmetry = No. 193; VASP energy = -66.165 eV/f.u.
1.0
4.282 -7.417 0.000
4.282 7.417 0.000
0.000 0.000 6.181
Sb Zr Se
6 10 2
direct
0.395 0.395 0.250 Sb
0.605 0.000 0.250 Sb
0.605 0.605 0.750 Sb
0.000 0.605 0.250 Sb
0.395 0.000 0.750 Sb
0.000 0.395 0.750 Sb
0.739 0.000 0.750 Zr
0.333 0.667 0.500 Zr
0.261 0.000 0.250 Zr
0.667 0.333 0.500 Zr
0.261 0.261 0.750 Zr
0.000 0.261 0.250 Zr
0.739 0.739 0.250 Zr
0.333 0.667 0.000 Zr
0.667 0.333 0.000 Zr
0.000 0.739 0.750 Zr
0.000 0.000 0.000 Se
0.000 0.000 0.500 Se


Tb10Si3Sb3 | the Materials Project database | PBE-GGA | optimized geometry; symmetry = No. 189; magnetization = 0.0 μB per formula unit; VASP energy = -87.623 eV/f.u.
1.0
1.353 7.810 -3.734
-3.376 -6.578 -4.702
-5.898 1.825 1.681
Tb Sb Si
10 3 3
direct
0.667 0.333 0.740 Tb
0.667 0.333 0.260 Tb
0.000 0.757 0.000 Tb
0.333 0.667 0.740 Tb
0.000 0.243 0.500 Tb
0.333 0.667 0.260 Tb
0.757 0.000 0.000 Tb
0.243 0.000 0.500 Tb
0.243 0.243 0.000 Tb
0.757 0.757 0.500 Tb
0.394 0.000 0.000 Sb
0.000 0.394 0.000 Sb
0.606 0.606 0.000 Sb
0.391 0.391 0.500 Si
0.609 0.000 0.500 Si
0.000 0.609 0.500 Si


SmSb2 | the Materials Project database | PBE-GGA | optimized geometry; symmetry = No. 64; VASP energy = -15.314 eV/f.u.
1.0
3.107 -3.110 0.000
3.107 3.110 0.000
0.000 0.000 18.038
Sm Sb
4 8
direct
0.140 0.860 0.610 Sm
0.640 0.360 0.890 Sm
0.360 0.640 0.110 Sm
0.860 0.140 0.390 Sm
0.365 0.635 0.436 Sb
0.376 0.124 0.250 Sb
0.624 0.876 0.750 Sb
0.124 0.376 0.750 Sb
0.865 0.135 0.064 Sb
0.876 0.624 0.250 Sb
0.635 0.365 0.564 Sb
0.135 0.865 0.936 Sb


Sm2Sb5 | the Materials Project database | PBE-GGA | optimized geometry; symmetry = No. 11; VASP energy = -34.838 eV/f.u.
1.0
-1.436 -0.985 3.843
7.994 -10.797 0.219
12.591 5.558 6.129
Sb Sm
20 8
direct
0.750 0.857 0.521 Sb
0.750 0.140 0.323 Sb
0.750 0.857 0.219 Sb
0.250 0.718 0.061 Sb
0.250 0.420 0.975 Sb
0.250 0.143 0.781 Sb
0.250 0.860 0.677 Sb
0.750 0.575 0.735 Sb
0.250 0.425 0.265 Sb
0.750 0.029 0.899 Sb
0.750 0.580 0.025 Sb
0.750 0.287 0.648 Sb
0.750 0.850 0.825 Sb
0.750 0.282 0.939 Sb
0.250 0.143 0.479 Sb
0.250 0.426 0.555 Sb
0.250 0.713 0.352 Sb
0.250 0.971 0.101 Sb
0.250 0.150 0.175 Sb
0.750 0.574 0.445 Sb
0.250 0.669 0.577 Sm
0.750 0.607 0.228 Sm
0.750 0.331 0.423 Sm
0.250 0.663 0.856 Sm
0.750 0.337 0.144 Sm
0.250 0.953 0.360 Sm
0.250 0.393 0.772 Sm
0.750 0.047 0.640 Sm


Sm5Sb3 | the Materials Project database | PBE-GGA | optimized geometry; symmetry = No. 193; VASP energy = -43.676 eV/f.u.
1.0
4.596 -7.961 0.000
4.596 7.961 0.000
0.000 0.000 6.440
Sb Sm
6 10
direct
0.387 0.387 0.250 Sb
0.000 0.613 0.250 Sb
0.000 0.387 0.750 Sb
0.387 0.000 0.750 Sb
0.613 0.000 0.250 Sb
0.613 0.613 0.750 Sb
0.000 0.249 0.250 Sm
0.249 0.249 0.750 Sm
0.249 0.000 0.250 Sm
0.667 0.333 0.000 Sm
0.000 0.751 0.750 Sm
0.333 0.667 0.500 Sm
0.751 0.000 0.750 Sm
0.751 0.751 0.250 Sm
0.333 0.667 0.000 Sm
0.667 0.333 0.500 Sm


Sm2Sb | the Materials Project database | PBE-GGA | optimized geometry; symmetry = No. 139; VASP energy = -16.073 eV/f.u.
1.0
-2.264 2.264 8.752
2.264 -2.264 8.752
2.264 2.264 -8.752
Sm Sb
4 2
direct
0.500 0.000 0.500 Sm
0.179 0.179 0.000 Sm
0.821 0.821 0.000 Sm
0.000 0.500 0.500 Sm
0.638 0.638 0.000 Sb
0.362 0.362 0.000 Sb


SmSbTe | the Materials Project database | PBE-GGA | optimized geometry; symmetry = No. 129; VASP energy = -15.467 eV/f.u.
1.0
4.330 0.000 0.000
0.000 4.330 0.000
0.000 0.000 9.453
Sm Sb Te
2 2 2
direct
0.000 0.500 0.724 Sm
0.500 0.000 0.276 Sm
0.500 0.500 0.000 Sb
0.000 0.000 0.000 Sb
0.500 0.000 0.624 Te
0.000 0.500 0.376 Te


| no. | energy relative to the elements (eV per atom) | total energy after the MP2020 corrections (Ry/atom) |
| --- | --- | --- |
| 1 | -1.244 | -0.33113 |
| 2 | -0.414 | -0.30079 |
| 3 | -0.338 | -0.29263 |
| 4 | -0.377 | -0.29809 |
| 5 | -1.417 | -0.47257 |
| 6 | 0.038 | -0.37863 |
| 7 | -0.240 | -0.26538 |
| 8 | -0.567 | -0.28940 |
| 9 | -0.269 | -0.26750 |
| 10 | -0.532 | -0.28683 |
| 11 | 0.132 | -0.23807 |
| 12 | -0.961 | -0.53405 |
| 13 | 0.200 | -0.48073 |
| 14 | -0.891 | -0.54420 |
| 15 | -0.825 | -0.40516 |
| 16 | -0.907 | -0.38460 |
| 17 | -0.817 | -0.37588 |
| 18 | -1.034 | -0.40655 |
| 19 | -0.900 | -0.39848 |
| 20 | -1.299 | -0.38927 |